# 1
Compound: Ce4Cu5Sb8
Source: the Materials Project database
Functional: PBE
Structure: optimized geometry

Cell: 4.529 4.529 19.903 Å, 90.00 90.00 90.00°
Space group P4mm (No. 99)
One atom of each set of equivalent atoms:
Ce 0.000 0.000 0.000 (multiplicity 1)
Ce 0.000 0.000 0.490 (multiplicity 1)
Ce 0.500 0.500 0.250 (multiplicity 1)
Ce 0.500 0.500 0.748 (multiplicity 1)
Cu 0.000 0.000 0.685 (multiplicity 1)
Cu 0.000 0.500 0.373 (multiplicity 2)
Cu 0.000 0.500 0.877 (multiplicity 2)
Sb 0.000 0.000 0.296 (multiplicity 1)
Sb 0.000 0.000 0.809 (multiplicity 1)
Sb 0.000 0.500 0.124 (multiplicity 2)
Sb 0.000 0.500 0.615 (multiplicity 2)
Sb 0.500 0.500 0.449 (multiplicity 1)
Sb 0.500 0.500 0.955 (multiplicity 1)

Results
ΔE_f (eV per atom): -0.6482
Total magnetization (μB/cell): 2.55

=====

# 2
Compound: Ce3Cu3Sb4
Source: the Materials Project database
Functional: PBE
Structure: optimized geometry

Cell: 9.727 9.727 9.727 Å, 90.00 90.00 90.00°
Space group I-43d (No. 220)
One atom of each set of equivalent atoms:
Ce 0.000 0.250 0.875 (multiplicity 12)
Cu 0.000 0.250 0.375 (multiplicity 12)
Sb 0.080 0.420 0.580 (multiplicity 16)

Results
ΔE_f (eV per atom): -0.7827
Total magnetization (μB/cell): 11.84

=====

# 3
Compound: CeCu2Sb2
Source: the Materials Project database
Functional: PBE
Structure: optimized geometry

Cell: 4.627 4.627 10.318 Å, 90.00 90.00 90.00°
Space group P4/nmm (No. 129, origin choice 2)
One atom of each set of equivalent atoms:
Ce 0.250 0.250 0.244 (multiplicity 2)
Cu 0.250 0.250 0.629 (multiplicity 2)
Cu 0.250 0.750 0.000 (multiplicity 2)
Sb 0.250 0.250 0.871 (multiplicity 2)
Sb 0.250 0.750 0.500 (multiplicity 2)

Results
ΔE_f (eV per atom): -0.4713
Total magnetization (μB/cell): 2.29

=====

# 4
Compound: CeCuSe2
Source: the Materials Project database
Functional: PBE
Structure: optimized geometry

Cell: 6.696 7.512 7.244 Å, 90.00 96.88 90.00°
Space group P2_1/c (No. 14)
One atom of each set of equivalent atoms:
Ce 0.191 0.048 0.300 (multiplicity 4)
Cu 0.438 0.662 0.461 (multiplicity 4)
Se 0.087 0.725 0.500 (multiplicity 4)
Se 0.401 0.112 0.716 (multiplicity 4)

Results
ΔE_f (eV per atom): -1.4453

=====

# 5
Compound: Ce3CuSiSe7
Source: the Materials Project database
Functional: PBE
Structure: optimized geometry

Cell: 10.6621 10.6621 6.1102 Å, 90.00 90.00 120.00°
Space group P6_3 (No. 173)
One atom of each set of equivalent atoms:
Ce 0.1264 0.3552 0.0000 (multiplicity 6)
Cu 0.0000 0.0000 0.4619 (multiplicity 2)
Si 0.3333 0.6667 0.5904 (multiplicity 2)
Se 0.0902 0.2541 0.4856 (multiplicity 6)
Se 0.1052 0.5836 0.7368 (multiplicity 6)
Se 0.3333 0.6667 0.2177 (multiplicity 2)

Results
ΔE_f (eV per atom): -1.5952
Total magnetization (μB/cell): 5.98

=====

# 6
Compound: Ce3CuSnSe7
Source: the Materials Project database
Functional: PBE
Structure: optimized geometry

Cell: 10.6188 10.6188 6.3684 Å, 90.00 90.00 120.00°
Space group P6_3 (No. 173)
One atom of each set of equivalent atoms:
Ce 0.1370 0.3577 0.0000 (multiplicity 6)
Cu 0.0000 0.0000 0.4597 (multiplicity 2)
Sn 0.3333 0.6667 0.5768 (multiplicity 2)
Se 0.0805 0.5693 0.7525 (multiplicity 6)
Se 0.1000 0.2561 0.4744 (multiplicity 6)
Se 0.3333 0.6667 0.1740 (multiplicity 2)

Results
ΔE_f (eV per atom): -1.5486
Total magnetization (μB/cell): 6.00

=====

# 7
Compound: CeCuSn
Source: the Materials Project database
Functional: PBE
Structure: optimized geometry

Cell: 4.6155 4.6155 7.5865 Å, 90.00 90.00 120.00°
Space group P6_3mc (No. 186)
One atom of each set of equivalent atoms:
Ce 0.0000 0.0000 0.0000 (multiplicity 2)
Cu 0.3333 0.6667 0.1946 (multiplicity 2)
Sn 0.3333 0.6667 0.7633 (multiplicity 2)

Results
ΔE_f (eV per atom): -0.4780

=====

# 8
Compound: CeCu4Sn
Source: the Materials Project database
Functional: PBE
Structure: optimized geometry

Cell: 5.783 7.919 9.178 Å, 90.00 90.07 90.00°
Space group P2_1 (No. 4)
One atom of each set of equivalent atoms:
Ce 0.123 0.000 0.473 (multiplicity 2)
Ce 0.376 0.253 0.973 (multiplicity 2)
Cu 0.080 0.234 0.716 (multiplicity 2)
Cu 0.117 0.543 0.116 (multiplicity 2)
Cu 0.139 0.873 0.062 (multiplicity 2)
Cu 0.226 0.308 0.297 (multiplicity 2)
Cu 0.291 0.944 0.802 (multiplicity 2)
Cu 0.359 0.379 0.555 (multiplicity 2)
Cu 0.378 0.707 0.617 (multiplicity 2)
Cu 0.423 0.019 0.217 (multiplicity 2)
Sn 0.117 0.630 0.839 (multiplicity 2)
Sn 0.375 0.632 0.337 (multiplicity 2)

Results
ΔE_f (eV per atom): -0.0741
Energy above the lowest structure with this stoichiometry (eV/atom): 0.000
Total magnetization (μB/cell): 3.54

=====

# 9
Compound: CeCu5Sn
Source: the Materials Project database
Functional: PBE
Structure: optimized geometry

Cell: 8.324 5.063 10.576 Å, 90.00 90.00 90.00°
Space group Pnma (No. 62)
One atom of each set of equivalent atoms:
Ce 0.246 0.250 0.059 (multiplicity 4)
Cu 0.063 0.750 0.103 (multiplicity 4)
Cu 0.070 0.000 0.311 (multiplicity 8)
Cu 0.082 0.250 0.516 (multiplicity 4)
Cu 0.181 0.250 0.744 (multiplicity 4)
Sn 0.140 0.750 0.859 (multiplicity 4)

Results
ΔE_f (eV per atom): -0.2231

=====

# 10
Compound: CeCu4Sn
Source: the Materials Project database
Functional: PBE
Structure: optimized geometry

Cell: 5.099 8.513 10.600 Å, 90.00 90.00 90.00°
Space group P2_12_12_1 (No. 19)
One atom of each set of equivalent atoms:
Ce 0.021 0.006 0.187 (multiplicity 4)
Cu 0.010 0.908 0.493 (multiplicity 4)
Cu 0.012 0.635 0.862 (multiplicity 4)
Cu 0.029 0.367 0.761 (multiplicity 4)
Cu 0.201 0.668 0.067 (multiplicity 4)
Sn 0.008 0.617 0.606 (multiplicity 4)

Results
ΔE_f (eV per atom): 0.0362
Energy above the lowest structure with this stoichiometry (eV/atom): 0.110
Total magnetization (μB/cell): 3.25

=====

# 11
Compound: CeCu4Sn
Source: the Materials Project database
Functional: PBE
Structure: optimized geometry

Cell: 5.131 7.303 11.056 Å, 90.00 90.00 90.00°
Space group P2_12_12_1 (No. 19)
One atom of each set of equivalent atoms:
Ce 0.088 0.072 0.243 (multiplicity 4)
Cu 0.104 0.889 0.498 (multiplicity 4)
Cu 0.108 0.277 0.790 (multiplicity 4)
Cu 0.138 0.609 0.865 (multiplicity 4)
Cu 0.182 0.792 0.054 (multiplicity 4)
Sn 0.113 0.540 0.568 (multiplicity 4)

Results
ΔE_f (eV per atom): -0.0230
Energy above the lowest structure with this stoichiometry (eV/atom): 0.051
Total magnetization (μB/cell): 3.51

=====

# 12
Compound: CeCuSn
Source: the Materials Project database
Functional: PBE
Structure: optimized geometry

Cell: 4.5756 4.5756 7.7747 Å, 90.00 90.00 120.00°
Space group P6_3/mmc (No. 194)
One atom of each set of equivalent atoms:
Ce 0.0000 0.0000 0.0000 (multiplicity 2)
Cu 0.3333 0.6667 0.2500 (multiplicity 2)
Sn 0.3333 0.6667 0.7500 (multiplicity 2)

Results
ΔE_f (eV per atom): -0.4691

=====

# 13
Compound: Ce2Cu3Sn3
Source: the Materials Project database
Functional: PBE
Structure: optimized geometry

Cell: 6.324 6.324 20.957 Å, 90.00 90.00 90.00°
Space group P4/mmm (No. 123)
One atom of each set of equivalent atoms:
Ce 0.000 0.000 0.243 (multiplicity 2)
Cu 0.000 0.000 0.118 (multiplicity 2)
Cu 0.000 0.000 0.500 (multiplicity 1)
Sn 0.000 0.000 0.000 (multiplicity 1)
Sn 0.000 0.000 0.382 (multiplicity 2)

Results
ΔE_f (eV per atom): 1.7609
Total magnetization (μB/cell): 6.04

=====

# 14
Compound: Ce2Zn2Cu5
Source: the Materials Project database
Functional: PBE
Structure: optimized geometry

Cell: 5.2195 5.2195 37.8954 Å, 90.00 90.00 120.00°
Space group R-3m (No. 166, hexagonal axes)
One atom of each set of equivalent atoms:
Ce 0.0000 0.0000 0.0558 (multiplicity 6)
Ce 0.0000 0.0000 0.1521 (multiplicity 6)
Zn 0.0000 0.0000 0.5000 (multiplicity 3)
Zn 0.0000 0.5000 0.0000 (multiplicity 9)
Cu 0.0000 0.0000 0.2770 (multiplicity 6)
Cu 0.0000 0.0000 0.3888 (multiplicity 6)
Cu 0.0015 0.5007 0.1094 (multiplicity 18)

Results
ΔE_f (eV per atom): -0.1614
Total magnetization (μB/cell): 10.03

=====

# 15
Compound: Ce2Zn3Cu7
Source: the Materials Project database
Functional: PBE
Structure: optimized geometry

Cell: 5.137 4.168 8.890 Å, 90.00 90.55 90.00°
Space group P2/m (No. 10)
One atom of each set of equivalent atoms:
Ce 0.249 0.000 0.247 (multiplicity 2)
Zn 0.247 0.500 0.753 (multiplicity 2)
Zn 0.500 0.500 0.500 (multiplicity 1)
Cu 0.000 0.500 0.000 (multiplicity 1)
Cu 0.000 0.500 0.500 (multiplicity 1)
Cu 0.246 0.000 0.582 (multiplicity 2)
Cu 0.251 0.000 0.920 (multiplicity 2)
Cu 0.500 0.500 0.000 (multiplicity 1)

Results
ΔE_f (eV per atom): -0.1821

=====

# 16
Compound: CeDy3
Source: the Materials Project database
Functional: PBE
Structure: optimized geometry

Cell: 4.998 4.998 9.974 Å, 90.00 90.00 90.00°
Space group I4/mmm (No. 139)
One atom of each set of equivalent atoms:
Ce 0.000 0.000 0.000 (multiplicity 2)
Dy 0.000 0.000 0.500 (multiplicity 2)
Dy 0.000 0.500 0.250 (multiplicity 4)

Results
ΔE_f (eV per atom): 0.0828
Total magnetization (μB/cell): 1.66

=====

# 17
Compound: Ce3Dy
Source: the Materials Project database
Functional: PBE
Structure: optimized geometry

Cell: 4.854 4.854 9.814 Å, 90.00 90.00 90.00°
Space group I4/mmm (No. 139)
One atom of each set of equivalent atoms:
Ce 0.000 0.000 0.000 (multiplicity 2)
Ce 0.000 0.500 0.250 (multiplicity 4)
Dy 0.000 0.000 0.500 (multiplicity 2)

Results
ΔE_f (eV per atom): 0.0950
Energy above the lowest structure with this stoichiometry (eV/atom): 0.000
Total magnetization (μB/cell): 2.48

=====

# 18
Compound: Ce3Dy
Source: the Materials Project database
Functional: PBE
Structure: optimized geometry

Cell: 4.863 4.863 4.863 Å, 90.00 90.00 90.00°
Space group Pm-3m (No. 221)
One atom of each set of equivalent atoms:
Ce 0.000 0.000 0.500 (multiplicity 3)
Dy 0.500 0.500 0.500 (multiplicity 1)

Results
ΔE_f (eV per atom): 0.0991
Energy above the lowest structure with this stoichiometry (eV/atom): 0.004
Total magnetization (μB/cell): 1.19